# Na6Sc5Ta3P12O48

A relaxed structure of Na6Sc5Ta3P12O48 (PBE, the Materials Project database).

abc: 8.8506 15.3361 22.8107
angles: 89.98 89.97 89.98
Last column: nearest neighbours and their distance in Å.
Space group P1 (No. 1)
One atom of each set of equivalent atoms:
Na1 0.0000 0.0000 0.0000 (multiplicity 1)  6 O 2.49-2.71
Na2 0.0003 0.0011 0.5007 (multiplicity 1)  6 O 2.52-2.70
Na3 0.0010 0.3343 0.6665 (multiplicity 1)  6 O 2.54-2.73
Na4 0.0082 0.3342 0.1692 (multiplicity 1)  6 O 2.56-2.63
Na5 0.0098 0.6689 0.8356 (multiplicity 1)  6 O 2.54-2.76
Na6 0.3159 0.6840 0.2569 (multiplicity 1)  4 O 2.34-2.54
Na7 0.3674 0.0006 0.2571 (multiplicity 1)  4 O 2.36-2.50
Na8 0.4925 0.8342 0.6685 (multiplicity 1)  6 O 2.54-2.65
Na9 0.4965 0.1706 0.8352 (multiplicity 1)  6 O 2.55-2.75
Na10 0.4959 0.1719 0.3392 (multiplicity 1)  6 O 2.59-2.71
Na11 0.5009 0.5010 0.5006 (multiplicity 1)  6 O 2.52-2.71
Na12 0.5018 0.5021 0.0004 (multiplicity 1)  6 O 2.50-2.70
Na13 0.5081 0.8339 0.1686 (multiplicity 1)  6 O 2.54-2.64
Na14 0.6328 0.0012 0.7555 (multiplicity 1)  4 O 2.36-2.48
Na15 0.6854 0.6845 0.7556 (multiplicity 1)  4 O 2.32-2.54
Na16 0.8158 0.1840 0.2571 (multiplicity 1)  4 O 2.34-2.54
Na17 0.8674 0.5007 0.2570 (multiplicity 1)  4 O 2.36-2.50
Na18 0.9959 0.6719 0.3391 (multiplicity 1)  6 O 2.60-2.71
Sc1 0.0003 0.0001 0.3605 (multiplicity 1)  6 O 2.06-2.09
Sc2 0.0004 0.3343 0.5233 (multiplicity 1)  6 O 2.03-2.12
Sc3 0.0001 0.3347 0.0247 (multiplicity 1)  6 O 2.03-2.10
Sc4 0.0029 0.9994 0.8585 (multiplicity 1)  6 O 2.04-2.11
Sc5 0.0080 0.3340 0.3234 (multiplicity 1)  5 O 2.00-2.20
Sc6 0.0077 0.6672 0.6896 (multiplicity 1)  6 O 2.00-2.15
Sc7 0.4916 0.8339 0.8212 (multiplicity 1)  6 O 2.01-2.24
Sc8 0.4973 0.1705 0.1888 (multiplicity 1)  6 O 1.98-2.15
Sc9 0.4969 0.1710 0.6899 (multiplicity 1)  6 O 2.00-2.15
Sc10 0.4993 0.5019 0.8586 (multiplicity 1)  6 O 2.03-2.10
Sc11 0.5002 0.5001 0.3605 (multiplicity 1)  6 O 2.06-2.09
Sc12 0.5005 0.8342 0.0230 (multiplicity 1)  6 O 2.02-2.12
Sc13 0.5012 0.8345 0.5237 (multiplicity 1)  6 O 2.03-2.12
Sc14 0.5080 0.8340 0.3234 (multiplicity 1)  5 O 2.00-2.20
Sc15 0.9976 0.6704 0.1886 (multiplicity 1)  6 O 1.98-2.15
Ta1 0.9998 0.0004 0.1496 (multiplicity 1)  6 O 1.97-2.02
Ta2 0.0011 0.6675 0.4849 (multiplicity 1)  6 O 1.98-2.01
Ta3 0.0034 0.0015 0.6499 (multiplicity 1)  6 O 1.96-2.02
Ta4 0.0025 0.3345 0.8183 (multiplicity 1)  6 O 1.98-2.03
Ta5 0.4994 0.5001 0.6498 (multiplicity 1)  6 O 1.97-2.02
Ta6 0.4996 0.5007 0.1496 (multiplicity 1)  6 O 1.97-2.01
Ta7 0.5012 0.1675 0.4850 (multiplicity 1)  6 O 1.98-2.01
Ta8 0.5015 0.1674 0.9839 (multiplicity 1)  6 O 1.95-2.02
Ta9 0.9995 0.6680 0.9841 (multiplicity 1)  6 O 1.96-2.03
P1 0.1436 0.8558 0.2551 (multiplicity 1)  4 O 1.51-1.60
P2 0.1455 0.1456 0.2548 (multiplicity 1)  4 O 1.52-1.60
P3 0.1452 0.1899 0.9228 (multiplicity 1)  4 O 1.51-1.59
P4 0.1452 0.4788 0.9228 (multiplicity 1)  4 O 1.51-1.59
P5 0.1447 0.5221 0.5888 (multiplicity 1)  4 O 1.51-1.59
P6 0.1465 0.8126 0.5887 (multiplicity 1)  4 O 1.51-1.59
P7 0.2087 0.8348 0.9233 (multiplicity 1)  4 O 1.51-1.60
P8 0.2106 0.1684 0.5887 (multiplicity 1)  4 O 1.51-1.59
P9 0.2115 0.5000 0.2546 (multiplicity 1)  4 O 1.52-1.59
P10 0.2903 0.0015 0.7551 (multiplicity 1)  4 O 1.51-1.59
P11 0.2908 0.6681 0.0890 (multiplicity 1)  4 O 1.51-1.59
P12 0.2931 0.3343 0.4233 (multiplicity 1)  4 O 1.51-1.59
P13 0.3552 0.3128 0.0881 (multiplicity 1)  4 O 1.51-1.58
P14 0.3546 0.6451 0.7551 (multiplicity 1)  4 O 1.52-1.60
P15 0.3549 0.6884 0.4220 (multiplicity 1)  4 O 1.51-1.60
P16 0.3549 0.9805 0.4221 (multiplicity 1)  4 O 1.51-1.60
P17 0.3563 0.0225 0.0892 (multiplicity 1)  4 O 1.51-1.58
P18 0.3568 0.3570 0.7560 (multiplicity 1)  4 O 1.51-1.59
P19 0.6436 0.3559 0.2551 (multiplicity 1)  4 O 1.51-1.60
P20 0.6453 0.0227 0.5900 (multiplicity 1)  4 O 1.52-1.59
P21 0.6454 0.6882 0.9219 (multiplicity 1)  4 O 1.51-1.61
P22 0.6456 0.6457 0.2549 (multiplicity 1)  4 O 1.52-1.60
P23 0.6465 0.3121 0.5890 (multiplicity 1)  4 O 1.51-1.59
P24 0.6477 0.9798 0.9219 (multiplicity 1)  4 O 1.51-1.61
P25 0.7115 0.0000 0.2546 (multiplicity 1)  4 O 1.52-1.59
P26 0.7110 0.6680 0.5899 (multiplicity 1)  4 O 1.52-1.59
P27 0.7120 0.3346 0.9225 (multiplicity 1)  4 O 1.51-1.59
P28 0.7894 0.4997 0.7553 (multiplicity 1)  4 O 1.51-1.58
P29 0.7907 0.1680 0.0892 (multiplicity 1)  4 O 1.51-1.58
P30 0.7930 0.8343 0.4233 (multiplicity 1)  4 O 1.51-1.59
P31 0.8544 0.8128 0.0883 (multiplicity 1)  4 O 1.51-1.58
P32 0.8547 0.1884 0.4220 (multiplicity 1)  4 O 1.51-1.60
P33 0.8547 0.4805 0.4221 (multiplicity 1)  4 O 1.51-1.60
P34 0.8561 0.5225 0.0894 (multiplicity 1)  4 O 1.52-1.58
P35 0.8579 0.1460 0.7555 (multiplicity 1)  4 O 1.51-1.58
P36 0.8578 0.8557 0.7549 (multiplicity 1)  4 O 1.51-1.59
O1 0.0651 0.2343 0.2576 (multiplicity 1)  1 P 1.54
O2 0.0673 0.5710 0.9294 (multiplicity 1)  1 P 1.58
O3 0.0676 0.9050 0.5962 (multiplicity 1)  1 P 1.59
O4 0.0706 0.4340 0.8671 (multiplicity 1)  1 P 1.59
O5 0.0713 0.7683 0.5340 (multiplicity 1)  1 P 1.57
O6 0.0724 0.0981 0.1992 (multiplicity 1)  1 P 1.60
O7 0.0755 0.8987 0.3085 (multiplicity 1)  1 P 1.51
O8 0.0785 0.2325 0.9763 (multiplicity 1)  1 P 1.51
O9 0.0786 0.5645 0.6430 (multiplicity 1)  1 P 1.51
O10 0.0805 0.4315 0.5813 (multiplicity 1)  1 P 1.51
O11 0.0797 0.7634 0.2480 (multiplicity 1)  1 P 1.53
O12 0.0811 0.0993 0.9142 (multiplicity 1)  1 P 1.51
O13 0.1029 0.9128 0.9171 (multiplicity 1)  1 P 1.53
O14 0.1064 0.2459 0.5813 (multiplicity 1)  1 P 1.51
O15 0.1064 0.7497 0.9328 (multiplicity 1)  1 P 1.60
O16 0.1087 0.4195 0.2576 (multiplicity 1)  1 P 1.53
O17 0.1097 0.9161 0.1995 (multiplicity 1)  1 P 1.60
O18 0.1107 0.5821 0.2471 (multiplicity 1)  1 P 1.55
O19 0.1118 0.0827 0.5958 (multiplicity 1)  1 P 1.59
O20 0.1147 0.4242 0.9764 (multiplicity 1)  1 P 1.51
O21 0.1159 0.2498 0.8670 (multiplicity 1)  1 P 1.59
O22 0.1156 0.7584 0.6429 (multiplicity 1)  1 P 1.51
O23 0.1168 0.5821 0.5341 (multiplicity 1)  1 P 1.57
O24 0.1197 0.0878 0.3079 (multiplicity 1)  1 P 1.52
O25 0.1769 0.6796 0.4319 (multiplicity 1)  1 P 1.60
O26 0.1785 0.0161 0.0958 (multiplicity 1)  1 P 1.58
O27 0.1785 0.3496 0.7635 (multiplicity 1)  1 P 1.59
O28 0.1830 0.9905 0.6995 (multiplicity 1)  1 P 1.59
O29 0.1847 0.6527 0.0349 (multiplicity 1)  1 P 1.57
O30 0.1847 0.6555 0.7480 (multiplicity 1)  1 P 1.52
O31 0.1846 0.9942 0.4162 (multiplicity 1)  1 P 1.53
O32 0.1866 0.3255 0.0809 (multiplicity 1)  1 P 1.51
O33 0.1925 0.0150 0.8087 (multiplicity 1)  1 P 1.51
O34 0.1953 0.3469 0.4770 (multiplicity 1)  1 P 1.51
O35 0.1983 0.6793 0.1449 (multiplicity 1)  1 P 1.52
O36 0.2004 0.3155 0.3675 (multiplicity 1)  1 P 1.54
O37 0.3010 0.8154 0.8678 (multiplicity 1)  1 P 1.54
O38 0.3057 0.8469 0.9774 (multiplicity 1)  1 P 1.51
O39 0.3069 0.1800 0.6429 (multiplicity 1)  1 P 1.51
O40 0.3107 0.5176 0.3075 (multiplicity 1)  1 P 1.52
O41 0.3137 0.4915 0.9146 (multiplicity 1)  1 P 1.52
O42 0.3147 0.1528 0.5340 (multiplicity 1)  1 P 1.57
O43 0.3148 0.8256 0.5811 (multiplicity 1)  1 P 1.51
O44 0.3173 0.1527 0.2471 (multiplicity 1)  1 P 1.53
O45 0.3179 0.4893 0.1989 (multiplicity 1)  1 P 1.59
O46 0.3186 0.8496 0.2573 (multiplicity 1)  1 P 1.55
O47 0.3232 0.1831 0.9296 (multiplicity 1)  1 P 1.59
O48 0.3230 0.5155 0.5963 (multiplicity 1)  1 P 1.59
O49 0.3720 0.7421 0.3647 (multiplicity 1)  1 P 1.55
O50 0.3849 0.2587 0.1424 (multiplicity 1)  1 P 1.51
O51 0.3853 0.4153 0.7001 (multiplicity 1)  1 P 1.58
O52 0.3859 0.5901 0.8090 (multiplicity 1)  1 P 1.52
O53 0.3869 0.0836 0.0348 (multiplicity 1)  1 P 1.58
O54 0.3866 0.9246 0.4754 (multiplicity 1)  1 P 1.51
O55 0.3897 0.5824 0.0956 (multiplicity 1)  1 P 1.59
O56 0.3913 0.9192 0.7576 (multiplicity 1)  1 P 1.55
O57 0.3943 0.7460 0.0816 (multiplicity 1)  1 P 1.51
O58 0.3955 0.2499 0.4323 (multiplicity 1)  1 P 1.59
O59 0.3960 0.0806 0.7480 (multiplicity 1)  1 P 1.54
O60 0.3979 0.4126 0.4165 (multiplicity 1)  1 P 1.53
O61 0.4195 0.5965 0.4159 (multiplicity 1)  1 P 1.53
O62 0.4200 0.0633 0.1448 (multiplicity 1)  1 P 1.52
O63 0.4206 0.2658 0.7483 (multiplicity 1)  1 P 1.52
O64 0.4218 0.9321 0.0815 (multiplicity 1)  1 P 1.51
O65 0.4235 0.3989 0.8098 (multiplicity 1)  1 P 1.51
O66 0.4228 0.7322 0.4753 (multiplicity 1)  1 P 1.51
O67 0.4268 0.9450 0.3649 (multiplicity 1)  1 P 1.55
O68 0.4304 0.2681 0.0334 (multiplicity 1)  1 P 1.57
O69 0.4298 0.5969 0.7000 (multiplicity 1)  1 P 1.60
O70 0.4307 0.0738 0.4319 (multiplicity 1)  1 P 1.60
O71 0.4342 0.4046 0.0954 (multiplicity 1)  1 P 1.58
O72 0.4376 0.7338 0.7575 (multiplicity 1)  1 P 1.55
O73 0.5652 0.7343 0.2577 (multiplicity 1)  1 P 1.54
O74 0.5670 0.4043 0.5964 (multiplicity 1)  1 P 1.59
O75 0.5706 0.0737 0.9327 (multiplicity 1)  1 P 1.61
O76 0.5711 0.2682 0.5342 (multiplicity 1)  1 P 1.57
O77 0.5724 0.5982 0.1993 (multiplicity 1)  1 P 1.60
O78 0.5745 0.9450 0.8652 (multiplicity 1)  1 P 1.54
O79 0.5755 0.3986 0.3085 (multiplicity 1)  1 P 1.51
O80 0.5787 0.7316 0.9756 (multiplicity 1)  1 P 1.51
O81 0.5797 0.2635 0.2480 (multiplicity 1)  1 P 1.54
O82 0.5801 0.9321 0.5817 (multiplicity 1)  1 P 1.52
O83 0.5815 0.0636 0.6455 (multiplicity 1)  1 P 1.52
O84 0.5818 0.5959 0.9165 (multiplicity 1)  1 P 1.53
O85 0.6069 0.7455 0.5817 (multiplicity 1)  1 P 1.52
O86 0.6078 0.4119 0.9140 (multiplicity 1)  1 P 1.51
O87 0.6088 0.9196 0.2577 (multiplicity 1)  1 P 1.53
O88 0.6097 0.4160 0.1995 (multiplicity 1)  1 P 1.60
O89 0.6107 0.0821 0.2470 (multiplicity 1)  1 P 1.55
O90 0.6118 0.5819 0.5968 (multiplicity 1)  1 P 1.59
O91 0.6128 0.2491 0.9296 (multiplicity 1)  1 P 1.59
O92 0.6150 0.0830 0.5355 (multiplicity 1)  1 P 1.57
O93 0.6154 0.9250 0.9757 (multiplicity 1)  1 P 1.51
O94 0.6161 0.2581 0.6432 (multiplicity 1)  1 P 1.51
O95 0.6198 0.5878 0.3079 (multiplicity 1)  1 P 1.52
O96 0.6292 0.7420 0.8650 (multiplicity 1)  1 P 1.54
O97 0.6770 0.1795 0.4319 (multiplicity 1)  1 P 1.60
O98 0.6784 0.5158 0.0960 (multiplicity 1)  1 P 1.58
O99 0.6826 0.8497 0.7575 (multiplicity 1)  1 P 1.55
O100 0.6842 0.1537 0.0349 (multiplicity 1)  1 P 1.57
O101 0.6845 0.4942 0.4162 (multiplicity 1)  1 P 1.53
O102 0.6863 0.4849 0.6999 (multiplicity 1)  1 P 1.58
O103 0.6861 0.8257 0.0811 (multiplicity 1)  1 P 1.51
O104 0.6868 0.1557 0.7477 (multiplicity 1)  1 P 1.53
O105 0.6918 0.5155 0.8088 (multiplicity 1)  1 P 1.51
O106 0.6953 0.8469 0.4771 (multiplicity 1)  1 P 1.51
O107 0.6983 0.1795 0.1449 (multiplicity 1)  1 P 1.52
O108 0.7005 0.8155 0.3675 (multiplicity 1)  1 P 1.54
O109 0.8036 0.6792 0.6456 (multiplicity 1)  1 P 1.52
O110 0.8085 0.3465 0.9763 (multiplicity 1)  1 P 1.51
O111 0.8107 0.0177 0.3074 (multiplicity 1)  1 P 1.52
O112 0.8148 0.3258 0.5813 (multiplicity 1)  1 P 1.51
O113 0.8169 0.3194 0.8669 (multiplicity 1)  1 P 1.59
O114 0.8174 0.6527 0.2471 (multiplicity 1)  1 P 1.53
O115 0.8165 0.6527 0.5356 (multiplicity 1)  1 P 1.57
O116 0.8173 0.9949 0.9163 (multiplicity 1)  1 P 1.53
O117 0.8180 0.9893 0.1989 (multiplicity 1)  1 P 1.59
O118 0.8186 0.3496 0.2573 (multiplicity 1)  1 P 1.55
O119 0.8234 0.0162 0.5966 (multiplicity 1)  1 P 1.59
O120 0.8239 0.6791 0.9325 (multiplicity 1)  1 P 1.61
O121 0.8719 0.2421 0.3647 (multiplicity 1)  1 P 1.55
O122 0.8829 0.0890 0.8089 (multiplicity 1)  1 P 1.51
O123 0.8848 0.7588 0.1426 (multiplicity 1)  1 P 1.51
O124 0.8865 0.4247 0.4754 (multiplicity 1)  1 P 1.51
O125 0.8869 0.5827 0.0352 (multiplicity 1)  1 P 1.57
O126 0.8892 0.0824 0.0954 (multiplicity 1)  1 P 1.58
O127 0.8886 0.5806 0.7473 (multiplicity 1)  1 P 1.53
O128 0.8905 0.4160 0.7631 (multiplicity 1)  1 P 1.57
O129 0.8915 0.9169 0.6999 (multiplicity 1)  1 P 1.59
O130 0.8939 0.2459 0.0814 (multiplicity 1)  1 P 1.51
O131 0.8952 0.7498 0.4323 (multiplicity 1)  1 P 1.59
O132 0.8980 0.9126 0.4165 (multiplicity 1)  1 P 1.53
O133 0.9195 0.0965 0.4159 (multiplicity 1)  1 P 1.53
O134 0.9200 0.5628 0.1451 (multiplicity 1)  1 P 1.52
O135 0.9214 0.4319 0.0816 (multiplicity 1)  1 P 1.52
O136 0.9212 0.7632 0.7480 (multiplicity 1)  1 P 1.53
O137 0.9226 0.2321 0.4752 (multiplicity 1)  1 P 1.51
O138 0.9250 0.8984 0.8087 (multiplicity 1)  1 P 1.51
O139 0.9268 0.4451 0.3649 (multiplicity 1)  1 P 1.55
O140 0.9305 0.1022 0.6997 (multiplicity 1)  1 P 1.57
O141 0.9302 0.5738 0.4320 (multiplicity 1)  1 P 1.60
O142 0.9300 0.7678 0.0338 (multiplicity 1)  1 P 1.57
O143 0.9335 0.2383 0.7633 (multiplicity 1)  1 P 1.58
O144 0.9340 0.9045 0.0956 (multiplicity 1)  1 P 1.58

## Properties
For the total energy, the calculation gives -7.73 eV/atom. Its crystal system is triclinic. The value obtained for the formation energy is -3.071 eV/atom.